4
Lattice="0.000 3.097 3.097 3.097 0.000 3.097 3.097 3.097 0.000" Properties=species:S:1:pos:R:3 comment="r2SCAN TaAlOs2, optimized geometry" m_tot_mub_per_fu=0.00 formation_energy_ev_per_atom=-0.681 vol_a3_per_cell=59.4 final_energy_ev_per_atom=-41.0043 space_group=Fm-3m pbc="T T T"
Al 1.549 1.549 1.549
Ta 4.646 4.646 4.646
Os 3.097 3.097 3.097
Os 0.000 0.000 0.000